Record 1
A relaxed structure of K3Bi5As6O24. Source: Materials Project, functional PBE.

Final energy, eV/atom: -5.88
Energy of formation from the pure elements, eV/atom: -1.855
E (MP2020), eV/atom: -6.32

a b c (Å): 9.905 9.905 19.491
angles (deg): 113.38 113.38 43.33
Fractional coordinates of all 76 atoms:
K  0.034  0.815  0.918
K  0.185  0.966  0.582
K  0.194  0.806  0.750
K  0.806  0.194  0.250
K  0.815  0.034  0.418
K  0.966  0.185  0.082
Bi  0.115  0.322  0.798
Bi  0.267  0.459  0.527
Bi  0.322  0.115  0.298
Bi  0.341  0.659  0.250
Bi  0.459  0.267  0.027
Bi  0.541  0.733  0.973
Bi  0.659  0.341  0.750
Bi  0.678  0.885  0.702
Bi  0.733  0.541  0.473
Bi  0.885  0.678  0.202
As  0.051  0.211  0.914
As  0.163  0.411  0.654
As  0.211  0.051  0.414
As  0.335  0.523  0.384
As  0.411  0.163  0.154
As  0.477  0.665  0.116
As  0.523  0.335  0.884
As  0.589  0.837  0.846
As  0.665  0.477  0.616
As  0.789  0.949  0.586
As  0.837  0.589  0.346
As  0.949  0.789  0.086
O  0.007  0.627  0.716
O  0.036  0.800  0.185
O  0.040  0.783  0.582
O  0.062  0.407  0.560
O  0.129  0.649  0.034
O  0.152  0.305  0.923
O  0.162  0.667  0.313
O  0.200  0.964  0.315
O  0.216  0.255  0.188
O  0.217  0.960  0.918
O  0.244  0.648  0.467
O  0.255  0.216  0.688
O  0.302  0.395  0.869
O  0.305  0.152  0.423
O  0.333  0.838  0.187
O  0.349  0.398  0.658
O  0.351  0.871  0.466
O  0.352  0.756  0.033
O  0.373  0.993  0.784
O  0.395  0.302  0.369
O  0.398  0.349  0.158
O  0.407  0.062  0.060
O  0.450  0.548  0.621
O  0.452  0.550  0.879
O  0.548  0.450  0.121
O  0.550  0.452  0.379
O  0.593  0.938  0.940
O  0.602  0.651  0.842
O  0.605  0.698  0.631
O  0.627  0.007  0.216
O  0.648  0.244  0.967
O  0.649  0.129  0.534
O  0.651  0.602  0.342
O  0.667  0.162  0.813
O  0.695  0.848  0.577
O  0.698  0.605  0.131
O  0.745  0.784  0.312
O  0.756  0.352  0.533
O  0.783  0.040  0.082
O  0.784  0.745  0.812
O  0.800  0.036  0.685
O  0.838  0.333  0.687
O  0.848  0.695  0.077
O  0.871  0.351  0.966
O  0.938  0.593  0.440
O  0.960  0.217  0.418
O  0.964  0.200  0.815
O  0.993  0.373  0.284

Record 2
A relaxed structure of Zn3Cu3As4O16. Source: Materials Project, functional PBE.

Final energy, eV/atom: -5.48
Energy of formation from the pure elements, eV/atom: -1.521
E (MP2020), eV/atom: -5.90

a b c (Å): 8.712 5.128 15.668
angles (deg): 90.00 111.87 90.00
Fractional coordinates of all 52 atoms:
Zn  0.000  0.000  0.000
Zn  0.000  0.500  0.500
Zn  0.279  0.022  0.269
Zn  0.279  0.478  0.769
Zn  0.721  0.522  0.231
Zn  0.721  0.978  0.731
Cu  0.212  0.505  0.379
Cu  0.212  0.995  0.879
Cu  0.500  0.000  0.500
Cu  0.500  0.500  0.000
Cu  0.788  0.005  0.121
Cu  0.788  0.495  0.621
As  0.041  0.008  0.651
As  0.041  0.492  0.151
As  0.419  0.006  0.100
As  0.419  0.494  0.600
As  0.581  0.506  0.400
As  0.581  0.994  0.900
As  0.959  0.508  0.849
As  0.959  0.992  0.349
O  0.039  0.673  0.640
O  0.039  0.827  0.140
O  0.095  0.174  0.574
O  0.095  0.326  0.074
O  0.150  0.609  0.846
O  0.150  0.891  0.346
O  0.195  0.100  0.757
O  0.195  0.400  0.257
O  0.240  0.566  0.506
O  0.240  0.934  0.006
O  0.408  0.597  0.700
O  0.408  0.903  0.200
O  0.430  0.192  0.920
O  0.430  0.308  0.420
O  0.494  0.179  0.607
O  0.494  0.321  0.107
O  0.506  0.679  0.893
O  0.506  0.821  0.393
O  0.570  0.692  0.580
O  0.570  0.808  0.080
O  0.592  0.097  0.800
O  0.592  0.403  0.300
O  0.760  0.066  0.994
O  0.760  0.434  0.494
O  0.805  0.600  0.743
O  0.805  0.900  0.243
O  0.850  0.109  0.654
O  0.850  0.391  0.154
O  0.905  0.674  0.926
O  0.905  0.826  0.426
O  0.961  0.173  0.860
O  0.961  0.327  0.360

- Which value of energy of formation from the pure elements does entry 2 give?
  -1.521 eV/atom

- The lowest energy of formation from the pure elements belongs to which entry?
  K3Bi5As6O24

- final energy of number 2 (Zn3Cu3As4O16)?
  -5.48 eV/atom